Entry 1:
{"formula": "ZnNi3", "functional": "PBE-GGA", "state": "relaxed", "cell": [[-1.805, 1.805, 3.507], [1.805, -1.805, 3.507], [1.805, 1.805, -3.507]], "species": ["Zn", "Ni", "Ni", "Ni"], "fractional_positions": [[0.000, 0.000, 0.000], [0.250, 0.750, 0.500], [0.500, 0.500, 0.000], [0.750, 0.250, 0.500]]}


Entry 2:
{"formula": "Cs2ScAgCl6", "functional": "PBE-GGA", "state": "relaxed", "cell": [[0.000, 5.301, 5.301], [5.301, 0.000, 5.301], [5.301, 5.301, 0.000]], "species": ["Cs", "Cs", "Sc", "Ag", "Cl", "Cl", "Cl", "Cl", "Cl", "Cl"], "fractional_positions": [[0.250, 0.250, 0.250], [0.750, 0.750, 0.750], [0.000, 0.000, 0.000], [0.500, 0.500, 0.500], [0.237, 0.237, 0.763], [0.237, 0.763, 0.237], [0.237, 0.763, 0.763], [0.763, 0.237, 0.237], [0.763, 0.237, 0.763], [0.763, 0.763, 0.237]], "total_magnetization_mub_per_cell": 0.00, "energy_corrected_mp2020_ev_per_cell": -43.56}


Entry 3:
{"formula": "TmZn", "functional": "PBE-GGA", "state": "relaxed", "cell": [[3.524, 0.000, 0.000], [0.000, 3.524, 0.000], [0.000, 0.000, 3.524]], "species": ["Tm", "Zn"], "fractional_positions": [[0.000, 0.000, 0.000], [0.500, 0.500, 0.500]]}


Entry 4:
{"formula": "B5Pb2ClO9", "functional": "PBE-GGA", "state": "relaxed", "cell": [[11.519, 0.000, 0.000], [0.000, 11.550, 0.000], [0.000, 0.000, 6.643]], "species": ["B", "B", "B", "B", "B", "B", "B", "B", "B", "B", "B", "B", "B", "B", "B", "B", "B", "B", "B", "B", "Pb", "Pb", "Pb", "Pb", "Pb", "Pb", "Pb", "Pb", "Cl", "Cl", "Cl", "Cl", "O", "O", "O", "O", "O", "O", "O", "O", "O", "O", "O", "O", "O", "O", "O", "O", "O", "O", "O", "O", "O", "O", "O", "O", "O", "O", "O", "O", "O", "O", "O", "O", "O", "O", "O", "O"], "fractional_positions": [[0.003, 0.246, 0.000], [0.178, 0.228, 0.222], [0.199, 0.317, 0.872], [0.218, 0.713, 0.055], [0.231, 0.541, 0.833], [0.269, 0.041, 0.333], [0.282, 0.213, 0.555], [0.301, 0.817, 0.372], [0.322, 0.728, 0.722], [0.497, 0.746, 0.500], [0.503, 0.254, 0.500], [0.678, 0.272, 0.722], [0.699, 0.183, 0.372], [0.718, 0.787, 0.555], [0.731, 0.959, 0.333], [0.769, 0.459, 0.833], [0.782, 0.287, 0.055], [0.801, 0.683, 0.872], [0.822, 0.772, 0.222], [0.997, 0.754, 0.000], [0.039, 0.747, 0.521], [0.241, 0.977, 0.850], [0.259, 0.477, 0.350], [0.461, 0.247, 0.021], [0.539, 0.753, 0.021], [0.741, 0.523, 0.350], [0.759, 0.023, 0.850], [0.961, 0.253, 0.521], [0.000, 0.000, 0.645], [0.000, 0.500, 0.403], [0.500, 0.000, 0.903], [0.500, 0.500, 0.145], [0.051, 0.214, 0.181], [0.072, 0.288, 0.848], [0.113, 0.769, 0.963], [0.184, 0.260, 0.436], [0.210, 0.583, 0.024], [0.222, 0.428, 0.776], [0.228, 0.319, 0.091], [0.229, 0.728, 0.272], [0.238, 0.117, 0.181], [0.262, 0.617, 0.681], [0.271, 0.228, 0.772], [0.272, 0.819, 0.591], [0.278, 0.928, 0.276], [0.290, 0.083, 0.524], [0.316, 0.760, 0.936], [0.387, 0.269, 0.463], [0.428, 0.788, 0.348], [0.449, 0.714, 0.681], [0.551, 0.286, 0.681], [0.572, 0.212, 0.348], [0.613, 0.731, 0.463], [0.684, 0.240, 0.936], [0.710, 0.917, 0.524], [0.722, 0.072, 0.276], [0.728, 0.181, 0.591], [0.729, 0.772, 0.772], [0.738, 0.383, 0.681], [0.762, 0.883, 0.181], [0.771, 0.272, 0.272], [0.772, 0.681, 0.091], [0.778, 0.572, 0.776], [0.790, 0.417, 0.024], [0.816, 0.740, 0.436], [0.887, 0.231, 0.963], [0.928, 0.712, 0.848], [0.949, 0.786, 0.181]], "total_magnetization_mub_per_cell": 0.00, "energy_corrected_mp2020_ev_per_cell": -520.73}


Number 1: E_form -0.464 eV per formula unit. Number 2: E_form -21.512 eV per formula unit. Number 3: E_form -0.715 eV per formula unit. Number 4: E_form -42.979 eV per formula unit.